1.
This record from Materials Project describes an optimized crystal structure of Li3CoO3. The functional is PBE+U.

## Properties
Calculated formation energy, meV/atom: -1661.4
Crystal system: tetragonal
M_tot, Bohr magnetons per cell: 0.233
Total DFT energy (no corrections), eV/atom: -5.0871
Space group: P4_2/mnm, No. 136

```
Li3CoO3
1.0
8.7388 0.0000 0.0000
0.0000 8.7388 0.0000
0.0000 0.0000 3.6236
Li Co O
12 4 12
Direct
0.3573 0.1040 0.5000
0.6040 0.1427 0.0000
0.1648 0.1648 0.0000
0.6648 0.3352 0.5000
0.1040 0.3573 0.5000
0.8573 0.3960 0.0000
0.1427 0.6040 0.0000
0.8960 0.6427 0.5000
0.3352 0.6648 0.5000
0.8352 0.8352 0.0000
0.3960 0.8573 0.0000
0.6427 0.8960 0.5000
0.8847 0.1153 0.5000
0.3847 0.3847 0.0000
0.6153 0.6153 0.0000
0.1153 0.8847 0.5000
0.0993 0.0993 0.5000
0.6787 0.1113 0.5000
0.3887 0.1787 0.0000
0.8887 0.3213 0.5000
0.1787 0.3887 0.0000
0.5993 0.4007 0.0000
0.4007 0.5993 0.0000
0.8213 0.6113 0.0000
0.1113 0.6787 0.5000
0.6113 0.8213 0.0000
0.3213 0.8887 0.5000
0.9007 0.9007 0.5000
```

2.
This record from Materials Project describes an optimized crystal structure of LiCo2O4. The functional is PBE+U.

## Properties
Calculated formation energy, meV/atom: -1332.1
Crystal system: triclinic
M_tot, Bohr magnetons per cell: 2.999
Total DFT energy (no corrections), eV/atom: -5.6026
Space group: P1, No. 1

```
LiCo2O4
1.0
1.4551 -2.4888 -0.0021
2.8445 0.1147 4.7616
-4.0229 -2.5654 1.6913
Li Co O
1 2 4
Direct
0.2825 0.4449 0.5891
0.9997 0.0107 0.0038
0.5042 0.9828 0.4980
0.9116 0.1888 0.3928
0.3976 0.1878 0.8349
0.0913 0.8012 0.6186
0.6048 0.8213 0.1504
```

3.
This record from Materials Project describes an optimized crystal structure of Li2CoO3. The functional is PBE+U.

## Properties
Calculated formation energy, meV/atom: -1699.1
Crystal system: triclinic
M_tot, Bohr magnetons per cell: 5.996
Total DFT energy (no corrections), eV/atom: -5.3776
Space group: P-1, No. 2

```
Li2CoO3
1.0
-0.7272 2.1907 1.8811
0.5043 -4.0591 4.3219
5.9780 1.2969 -1.5159
Li Co O
4 2 6
Direct
0.6649 0.3376 0.8282
0.3351 0.6624 0.1718
0.0000 0.0000 0.5000
0.0000 0.5000 0.5000
0.6648 0.8204 0.8236
0.3352 0.1796 0.1764
0.1920 0.6035 0.8353
0.8456 0.9248 0.1442
0.4860 0.2362 0.4698
0.1544 0.0752 0.8558
0.8080 0.3965 0.1647
0.5140 0.7638 0.5302
```

4.
This record from Materials Project describes an optimized crystal structure of Li3Co13O16. The functional is PBE+U.

## Properties
Calculated formation energy, meV/atom: -1059.1
Crystal system: triclinic
M_tot, Bohr magnetons per cell: 42.099
Total DFT energy (no corrections), eV/atom: -5.5908
Space group: P-1, No. 2

```
Li3Co13O16
1.0
-5.1609 0.0000 0.0000
-0.8336 -5.0986 0.0000
-1.7079 -0.5679 11.4421
Li Co O
3 13 16
Direct
0.5000 0.0000 0.0000
0.3110 0.7504 0.6878
0.6890 0.2496 0.3122
0.2534 0.0044 0.2489
0.0660 0.7540 0.9374
0.0000 0.0000 0.5000
0.3810 0.4962 0.1239
0.8091 0.7523 0.1877
0.5655 0.7488 0.4366
0.7466 0.9956 0.7511
0.6190 0.5038 0.8761
0.1259 0.4959 0.3737
0.9340 0.2460 0.0626
0.8741 0.5041 0.6263
0.4345 0.2512 0.5634
0.1909 0.2477 0.8123
0.8483 0.1314 0.9046
0.3402 0.1215 0.4075
0.5940 0.1248 0.1557
0.4060 0.8752 0.8443
0.4659 0.6337 0.2797
0.7260 0.6192 0.0306
0.2197 0.6228 0.5274
0.0867 0.1340 0.6572
0.2740 0.3808 0.9694
0.6598 0.8785 0.5925
0.1517 0.8686 0.0954
0.9133 0.8660 0.3428
0.9642 0.6213 0.7841
0.7803 0.3772 0.4726
0.0358 0.3787 0.2159
0.5341 0.3663 0.7203
```

5.
This record from Materials Project describes an optimized crystal structure of Li7Co2O6. The functional is PBE+U.

## Properties
Calculated formation energy, meV/atom: -1767.9
Crystal system: tetragonal
M_tot, Bohr magnetons per cell: 6.000
Total DFT energy (no corrections), eV/atom: -5.0925
Space group: P-4n2, No. 118

```
Li7Co2O6
1.0
-3.9885 6.0335 4.9210
-5.4016 1.8378 -6.6313
-2.3979 -2.5923 1.2348
Li Co O
14 4 12
Direct
0.5000 0.5000 0.5000
0.3252 0.6115 0.2120
0.1563 0.6563 0.7500
0.6115 0.6748 0.7880
0.6563 0.8437 0.2500
0.1115 0.8252 0.2880
0.8252 0.8885 0.7120
0.0000 0.0000 0.0000
0.1748 0.1115 0.7120
0.8885 0.1748 0.2880
0.3437 0.1563 0.2500
0.3885 0.3252 0.7880
0.8437 0.3437 0.7500
0.6748 0.3885 0.2120
0.3842 0.8842 0.7500
0.6158 0.1158 0.7500
0.8842 0.6158 0.2500
0.1158 0.3842 0.2500
0.1011 0.6011 0.2500
0.6699 0.6152 0.2800
0.3848 0.6699 0.7200
0.8848 0.8301 0.2200
0.1699 0.8848 0.7800
0.6011 0.8989 0.7500
0.3989 0.1011 0.7500
0.8301 0.1152 0.7800
0.1152 0.1699 0.2200
0.6152 0.3301 0.7200
0.3301 0.3848 0.2800
0.8989 0.3989 0.2500
```

6.
This record from Materials Project describes an optimized crystal structure of Li8Co5O10. The functional is PBE+U.

## Properties
Calculated formation energy, meV/atom: -1708.3
Crystal system: triclinic
M_tot, Bohr magnetons per cell: 22.003
Total DFT energy (no corrections), eV/atom: -5.4141
Space group: P-1, No. 2

```
Li8Co5O10
1.0
4.9836 0.0829 -1.9667
-4.0213 -4.2888 -3.1015
-2.0460 12.3348 -9.6847
Li Co O
16 10 20
Direct
0.8707 0.3437 0.0348
0.3664 0.3404 0.5302
0.4335 0.0596 0.0699
0.9292 0.0563 0.5652
0.4907 0.1618 0.2215
0.9883 0.1595 0.7200
0.3093 0.2383 0.3786
0.8116 0.2404 0.8799
0.1272 0.7074 0.1350
0.6383 0.7111 0.6337
0.6728 0.6926 0.4651
0.1619 0.6888 0.9663
0.0419 0.8791 0.2750
0.5385 0.8768 0.7743
0.7581 0.5209 0.3250
0.2615 0.5234 0.8256
0.9000 0.7001 0.8000
0.4000 0.7000 0.3000
0.8020 0.8993 0.0986
0.3038 0.8989 0.5996
0.4963 0.5011 0.0004
0.9979 0.5006 0.5015
0.0865 0.2962 0.2026
0.5869 0.2994 0.7027
0.7135 0.1038 0.3974
0.2130 0.1006 0.8973
0.7743 0.1830 0.1312
0.2708 0.1692 0.6307
0.0258 0.2170 0.4688
0.5291 0.2306 0.9694
0.8370 0.6257 0.0438
0.3646 0.6509 0.5530
0.4353 0.7490 0.0471
0.9631 0.7742 0.5562
0.3949 0.4149 0.2794
0.8957 0.4147 0.7808
0.4052 0.9851 0.3206
0.9044 0.9854 0.8191
0.1391 0.0132 0.1628
0.6216 0.0109 0.6622
0.6609 0.3868 0.4372
0.1787 0.3893 0.9376
0.0794 0.5928 0.2443
0.5795 0.5927 0.7445
0.7205 0.8072 0.3557
0.2203 0.8074 0.8555
```

7.
This record from Materials Project describes an optimized crystal structure of Li5Co7O12. The functional is PBE+U.

## Properties
Calculated formation energy, meV/atom: -1460.9
Crystal system: monoclinic
M_tot, Bohr magnetons per cell: 0.002
Total DFT energy (no corrections), eV/atom: -5.5846
Space group: C2, No. 5

```
Li5Co7O12
1.0
4.3639 2.5064 0.0000
-4.3639 2.5064 0.0000
0.0000 1.6068 9.5180
Li Co O
5 7 12
Direct
0.8341 0.6637 0.7591
0.6687 0.8364 0.2412
0.3363 0.1659 0.2409
0.1636 0.3313 0.7588
0.0825 0.9175 0.0000
0.9190 0.0810 0.5000
0.0040 0.5142 0.2410
0.7493 0.2507 0.0000
0.4858 0.9960 0.7590
0.5804 0.4196 0.5000
0.4172 0.5828 0.0000
0.2513 0.7487 0.5000
0.0486 0.2416 0.1161
0.7584 0.9514 0.8839
0.8849 0.3904 0.6141
0.6096 0.1151 0.3859
0.6999 0.5232 0.1162
0.4768 0.3001 0.8838
0.5218 0.7053 0.6164
0.2947 0.4782 0.3836
0.3980 0.8733 0.1125
0.1267 0.6020 0.8875
0.2199 0.0318 0.6183
0.9682 0.7801 0.3817
```

8.
This record from Materials Project describes an optimized crystal structure of LiCo2O4. The functional is PBE+U.

## Properties
Calculated formation energy, meV/atom: -1461.2
Crystal system: cubic
Total DFT energy (no corrections), eV/atom: -5.7317
Space group: Fd-3m, No. 227

```
LiCo2O4
1.0
-5.7057 -1.0203 -0.0324
-2.0619 -4.8576 -2.3977
-2.2168 -4.1737 3.3560
Li Co O
2 4 8
Direct
0.1250 0.1250 0.1250
0.8750 0.8750 0.8750
0.5000 0.5000 0.5000
0.5000 0.0000 0.5000
0.0000 0.5000 0.5000
0.5000 0.5000 0.0000
0.2640 0.2640 0.7079
0.7360 0.7360 0.7360
0.7360 0.7360 0.2921
0.2640 0.7079 0.2640
0.2640 0.2640 0.2640
0.2921 0.7360 0.7360
0.7360 0.2921 0.7360
0.7079 0.2640 0.2640
```